Entry 1:
# GeAs2 r²SCAN optimized geometry
data_GeAs2
_symmetry_space_group_name_H-M 'P b a m'
_symmetry_Int_Tables_number 55
_cell_length_a 10.5974
_cell_length_b 15.2723
_cell_length_c 3.7358
_cell_angle_alpha 90.00
_cell_angle_beta 90.00
_cell_angle_gamma 90.00
loop_
_symmetry_equiv_pos_as_xyz
'x,y,z'
'-x,-y,-z'
'-x,-y,z'
'x,y,-z'
'x+1/2,-y+1/2,-z'
'-x+1/2,y+1/2,z'
'-x+1/2,y+1/2,-z'
'x+1/2,-y+1/2,z'
loop_
_atom_site_label
_atom_site_fract_x
_atom_site_fract_y
_atom_site_fract_z
Ge1 0.0772 0.1486 0.0000
Ge2 0.2070 0.7704 0.5000
As1 0.0582 0.8938 0.5000
As2 0.1176 0.6181 0.5000
As3 0.1495 0.3002 0.0000
As4 0.2388 0.5500 0.0000
# Final energy: -347.79 eV per cell
# Magnetic moment: 0.0 μB per formula unit
# Energy of formation from the pure elements: -0.0624 eV per atom


Entry 2:
# BaCN2 r²SCAN optimized geometry
data_BaCN2
_symmetry_space_group_name_H-M 'R -3 m'
_symmetry_Int_Tables_number 166
_symmetry_space_group_name_Hall '-R 3 2"'
_cell_length_a 4.3204
_cell_length_b 4.3204
_cell_length_c 15.4122
_cell_angle_alpha 90.00
_cell_angle_beta 90.00
_cell_angle_gamma 120.00
loop_
_atom_site_label
_atom_site_fract_x
_atom_site_fract_y
_atom_site_fract_z
Ba1 0.0000 0.0000 0.0000
C1 0.0000 0.0000 0.5000
N1 0.0000 0.0000 0.4199
# Final energy: -175.02 eV per cell
# Magnetic moment: 0.0 μB per formula unit
# Energy of formation from the pure elements: -0.9091 eV per atom


Entry 3:
# VCl4 r²SCAN optimized geometry
data_VCl4
_symmetry_space_group_name_H-M 'P 1'
_symmetry_Int_Tables_number 1
_cell_length_a 6.5210
_cell_length_b 9.7700
_cell_length_c 9.8478
_cell_angle_alpha 102.20
_cell_angle_beta 90.38
_cell_angle_gamma 90.12
loop_
_symmetry_equiv_pos_as_xyz
'x,y,z'
loop_
_atom_site_label
_atom_site_fract_x
_atom_site_fract_y
_atom_site_fract_z
V1 0.0000 0.0000 0.0000
V2 0.1528 0.4993 0.7289
V3 0.4990 0.4987 0.2289
V4 0.6518 0.0000 0.5002
Cl1 0.0062 0.1787 0.1682
Cl2 0.1498 0.8272 0.0599
Cl3 0.1560 0.0600 0.8314
Cl4 0.1571 0.3229 0.5584
Cl5 0.1919 0.5627 0.2838
Cl6 0.4652 0.5541 0.7815
Cl7 0.4934 0.8329 0.5646
Cl8 0.5037 0.0538 0.3245
Cl9 0.5035 0.3200 0.0607
Cl10 0.6472 0.6727 0.1701
Cl11 0.6487 0.1733 0.6739
Cl12 0.6572 0.4406 0.3988
Cl13 0.6917 0.9355 0.9443
Cl14 0.9596 0.9422 0.4410
Cl15 0.9923 0.6699 0.6721
Cl16 0.9937 0.4479 0.9006
# Final energy: -180.75 eV per cell
# Magnetic moment: 1.0 μB per formula unit
# Energy of formation from the pure elements: -1.2977 eV per atom


Copy entry 3 word for word.
# VCl4 r²SCAN optimized geometry
data_VCl4
_symmetry_space_group_name_H-M 'P 1'
_symmetry_Int_Tables_number 1
_cell_length_a 6.5210
_cell_length_b 9.7700
_cell_length_c 9.8478
_cell_angle_alpha 102.20
_cell_angle_beta 90.38
_cell_angle_gamma 90.12
loop_
_symmetry_equiv_pos_as_xyz
'x,y,z'
loop_
_atom_site_label
_atom_site_fract_x
_atom_site_fract_y
_atom_site_fract_z
V1 0.0000 0.0000 0.0000
V2 0.1528 0.4993 0.7289
V3 0.4990 0.4987 0.2289
V4 0.6518 0.0000 0.5002
Cl1 0.0062 0.1787 0.1682
Cl2 0.1498 0.8272 0.0599
Cl3 0.1560 0.0600 0.8314
Cl4 0.1571 0.3229 0.5584
Cl5 0.1919 0.5627 0.2838
Cl6 0.4652 0.5541 0.7815
Cl7 0.4934 0.8329 0.5646
Cl8 0.5037 0.0538 0.3245
Cl9 0.5035 0.3200 0.0607
Cl10 0.6472 0.6727 0.1701
Cl11 0.6487 0.1733 0.6739
Cl12 0.6572 0.4406 0.3988
Cl13 0.6917 0.9355 0.9443
Cl14 0.9596 0.9422 0.4410
Cl15 0.9923 0.6699 0.6721
Cl16 0.9937 0.4479 0.9006
# Final energy: -180.75 eV per cell
# Magnetic moment: 1.0 μB per formula unit
# Energy of formation from the pure elements: -1.2977 eV per atom